Computed, not measured: a geometry-optimized CsTh2Se6 structure at the r2SCAN level of DFT.

Its formation energy is -1.69 eV per atom. The total magnetization comes out at 0.0 μB per formula unit.

The structure belongs to space group Immm (No. 71); the cell edges are 4.238, 5.559 and 24.349 Å and the angles 90.00°, 90.00° and 90.00°. The inequivalent atoms are Cs at (0.000, 0.000, 0.000), Th at (0.000, 0.000, 0.184), Se at (0.000, 0.252, 0.385) and Se at (0.000, 0.500, 0.230).